Material: LaPd3
Method: DFT, r²SCAN
State: relaxed

E, Ha/atom: -0.9364
ΔH_f (0 K), kJ/mol of formula units: -318

Cell lengths 4.2027, 4.2027, 4.2027 Å; angles 90.00, 90.00, 90.00 degrees
Closest atoms and distances in Å follow each position.
Positions (direct):
1 La 0.0000 0.0000 0.0000  12 Pd 2.97
2 Pd 0.5000 0.0000 0.5000  8 Pd 2.97, 4 La 2.97
3 Pd 0.5000 0.5000 0.0000  4 La 2.97, 8 Pd 2.97
4 Pd 0.0000 0.5000 0.5000  4 La 2.97, 8 Pd 2.97

=====

Material: Co2NiSe4
Method: DFT, r²SCAN
State: relaxed

E, Ha/atom: -0.5139
ΔH_f (0 K), kJ/mol of formula units: -211

Cell lengths 3.5439, 6.1183, 6.3645 Å; angles 117.93, 106.17, 90.00 degrees
Closest atoms and distances in Å follow each position.
Positions (direct):
1 Se 0.8710 0.5399 0.7421  3 Co 2.34-2.37, 1 Ni 2.46
2 Se 0.3635 0.0252 0.7271  3 Co 2.42-2.47, 2 Ni 2.49
3 Ni 0.9998 0.9997 0.9997  6 Se 2.46-2.49
4 Co 0.2597 0.2753 0.5194  6 Se 2.34-2.47
5 Se 0.1290 0.4602 0.2580  3 Co 2.34-2.37, 1 Ni 2.47
6 Se 0.6366 0.9749 0.2731  3 Co 2.42-2.47, 2 Ni 2.49
7 Co 0.7403 0.7248 0.4806  6 Se 2.34-2.47